No. 1
Crystalline LaCeOs4 at its relaxed geometry. Source: Materials Project, functional r2SCAN.

Raw total energy = -273.532 eV for the cell shown
Volume = 113 Å³/f.u.

a = 5.4203 Å, b = 5.4203 Å, c = 5.4203 Å
α = 60.00°, β = 60.00°, γ = 60.00°
Fractional positions:
La1 0.0000 0.0000 0.0000
Ce1 0.7500 0.7500 0.7500
Os1 0.3752 0.3752 0.3752
Os2 0.3752 0.3752 0.8745
Os3 0.3752 0.8745 0.3752
Os4 0.8745 0.3752 0.3752

No. 2
Crystalline PuSb at its relaxed geometry. Source: Materials Project, functional r2SCAN.

Raw total energy = -113.877 eV for the cell shown
Volume = 54 Å³/f.u.

a = 3.6608 Å, b = 3.6608 Å, c = 4.0585 Å
α = 90.00°, β = 90.00°, γ = 90.00°
Fractional positions:
Pu1 0.0000 0.0000 0.0000
Sb1 0.5000 0.5000 0.5000

No. 3
Crystalline ThC at its relaxed geometry. Source: Materials Project, functional r2SCAN.

Raw total energy = -84.284 eV for the cell shown
Volume = 39 Å³/f.u.

a = 3.7925 Å, b = 3.7925 Å, c = 3.7925 Å
α = 60.00°, β = 60.00°, γ = 60.00°
Fractional positions:
Th1 0.0000 0.0000 0.0000
C1 0.5000 0.5000 0.5000

No. 4
Crystalline CrCuS2 at its relaxed geometry. Source: Materials Project, functional r2SCAN.

Raw total energy = -44.987 eV for the cell shown
Volume = 65 Å³/f.u.

a = 6.4372 Å, b = 6.4372 Å, c = 6.4372 Å
α = 31.66°, β = 31.66°, γ = 31.66°
Fractional positions:
Cr1 0.0000 0.0000 0.0000
Cu1 0.1464 0.1464 0.1464
S1 0.2658 0.2658 0.2658
S2 0.7459 0.7459 0.7459

No. 5
Crystalline LuMnO3 at its relaxed geometry. Source: Materials Project, functional r2SCAN.

Raw total energy = -518.661 eV for the cell shown
Volume = 59 Å³/f.u.

a = 6.0056 Å, b = 6.0056 Å, c = 11.3124 Å
α = 90.00°, β = 90.00°, γ = 120.00°
Fractional positions:
Lu1 0.0000 0.0000 0.0000
Lu2 0.0000 0.0000 0.5000
Lu3 0.3333 0.6667 0.4550
Lu4 0.3333 0.6667 0.9550
Lu5 0.6667 0.3333 0.4550
Lu6 0.6667 0.3333 0.9550
Mn1 0.0000 0.3333 0.2246
Mn2 0.0000 0.6667 0.7246
Mn3 0.3333 0.0000 0.2246
Mn4 0.3333 0.3333 0.7246
Mn5 0.6667 0.0000 0.7246
Mn6 0.6667 0.6667 0.2246
O1 0.0000 0.0000 0.1985
O2 0.0000 0.0000 0.6985
O3 0.0000 0.3049 0.3901
O4 0.0000 0.3616 0.0593
O5 0.0000 0.6384 0.5593
O6 0.0000 0.6951 0.8901
O7 0.3049 0.0000 0.3901
O8 0.3049 0.3049 0.8901
O9 0.3333 0.6667 0.2462
O10 0.3333 0.6667 0.7462
O11 0.3616 0.0000 0.0593
O12 0.3616 0.3616 0.5593
O13 0.6384 0.0000 0.5593
O14 0.6384 0.6384 0.0593
O15 0.6667 0.3333 0.2462
O16 0.6667 0.3333 0.7462
O17 0.6951 0.0000 0.8901
O18 0.6951 0.6951 0.3901

No. 6
Crystalline ScCuO2 at its relaxed geometry. Source: Materials Project, functional r2SCAN.

Raw total energy = -44.571 eV for the cell shown
Volume = 51 Å³/f.u.

a = 5.9862 Å, b = 5.9862 Å, c = 5.9862 Å
α = 31.24°, β = 31.24°, γ = 31.24°
Fractional positions:
Sc1 0.0000 0.0000 0.0000
Cu1 0.5000 0.5000 0.5000
O1 0.3932 0.3932 0.3932
O2 0.6068 0.6068 0.6068

No. 7
Crystalline Li3PS4 at its relaxed geometry. Source: Materials Project, functional r2SCAN.

Raw total energy = -227.199 eV for the cell shown
Volume = 160 Å³/f.u.

a = 13.3479 Å, b = 7.8625 Å, c = 6.1114 Å
α = 90.00°, β = 90.00°, γ = 90.00°
Fractional positions:
Li1 0.0713 0.2500 0.2187
Li2 0.1587 0.0046 0.7964
Li3 0.1587 0.4954 0.7964
Li4 0.3413 0.5046 0.2964
Li5 0.3413 0.9954 0.2964
Li6 0.4287 0.7500 0.7187
Li7 0.5713 0.2500 0.2813
Li8 0.6587 0.0046 0.7036
Li9 0.6587 0.4954 0.7036
Li10 0.8413 0.5046 0.2036
Li11 0.8413 0.9954 0.2036
Li12 0.9287 0.7500 0.7813
P1 0.0936 0.7500 0.3071
P2 0.4064 0.2500 0.8071
P3 0.5936 0.7500 0.1929
P4 0.9064 0.2500 0.6929
S1 0.0511 0.2500 0.7982
S2 0.0965 0.7500 0.6427
S3 0.1653 0.5365 0.1991
S4 0.1653 0.9635 0.1991
S5 0.3347 0.0365 0.6991
S6 0.3347 0.4635 0.6991
S7 0.4035 0.2500 0.1427
S8 0.4489 0.7500 0.2982
S9 0.5511 0.2500 0.7018
S10 0.5965 0.7500 0.8573
S11 0.6653 0.5365 0.3009
S12 0.6653 0.9635 0.3009
S13 0.8347 0.0365 0.8009
S14 0.8347 0.4635 0.8009
S15 0.9035 0.2500 0.3573
S16 0.9489 0.7500 0.2018

No. 8
Crystalline Cs2MnCl6 at its relaxed geometry. Source: Materials Project, functional r2SCAN.

Raw total energy = -117.085 eV for the cell shown
Volume = 271 Å³/f.u.

a = 7.2643 Å, b = 7.2643 Å, c = 7.2643 Å
α = 60.00°, β = 60.00°, γ = 60.00°
Fractional positions:
Cs1 0.2500 0.2500 0.2500
Cs2 0.7500 0.7500 0.7500
Mn1 0.0000 0.0000 0.0000
Cl1 0.2226 0.2226 0.7774
Cl2 0.2226 0.7774 0.2226
Cl3 0.2226 0.7774 0.7774
Cl4 0.7774 0.2226 0.2226
Cl5 0.7774 0.2226 0.7774
Cl6 0.7774 0.7774 0.2226

No. 9
Crystalline Hf6Ni16Ge7 at its relaxed geometry. Source: Materials Project, functional r2SCAN.

Raw total energy = -577.133 eV for the cell shown
Volume = 379 Å³/f.u.

a = 8.1266 Å, b = 8.1266 Å, c = 8.1266 Å
α = 60.00°, β = 60.00°, γ = 60.00°
Fractional positions:
Hf1 0.2050 0.2050 0.7950
Hf2 0.2050 0.7950 0.2050
Hf3 0.2050 0.7950 0.7950
Hf4 0.7950 0.2050 0.2050
Hf5 0.7950 0.2050 0.7950
Hf6 0.7950 0.7950 0.2050
Ni1 0.1444 0.6185 0.6185
Ni2 0.1678 0.1678 0.1678
Ni3 0.1678 0.1678 0.4965
Ni4 0.1678 0.4965 0.1678
Ni5 0.3815 0.3815 0.3815
Ni6 0.3815 0.3815 0.8556
Ni7 0.3815 0.8556 0.3815
Ni8 0.4965 0.1678 0.1678
Ni9 0.5035 0.8322 0.8322
Ni10 0.6185 0.1444 0.6185
Ni11 0.6185 0.6185 0.1444
Ni12 0.6185 0.6185 0.6185
Ni13 0.8322 0.5035 0.8322
Ni14 0.8322 0.8322 0.5035
Ni15 0.8322 0.8322 0.8322
Ni16 0.8556 0.3815 0.3815
Ge1 0.0000 0.0000 0.5000
Ge2 0.0000 0.5000 0.0000
Ge3 0.0000 0.5000 0.5000
Ge4 0.5000 0.0000 0.0000
Ge5 0.5000 0.0000 0.5000
Ge6 0.5000 0.5000 0.0000
Ge7 0.5000 0.5000 0.5000

No. 10
Crystalline BaIn at its relaxed geometry. Source: Materials Project, functional r2SCAN.

Raw total energy = -200.482 eV for the cell shown
Volume = 74 Å³/f.u.

a = 7.6112 Å, b = 7.6112 Å, c = 5.5928 Å
α = 90.00°, β = 90.00°, γ = 113.92°
Fractional positions:
Ba1 0.1249 0.8751 0.7500
Ba2 0.3226 0.6774 0.2500
Ba3 0.6774 0.3226 0.7500
Ba4 0.8751 0.1249 0.2500
In1 0.2254 0.3785 0.7500
In2 0.3785 0.2254 0.2500
In3 0.6215 0.7746 0.7500
In4 0.7746 0.6215 0.2500

No. 11
Crystalline AlVFe2 at its relaxed geometry. Source: Materials Project, functional r2SCAN.

Raw total energy = -50.708 eV for the cell shown
Volume = 45 Å³/f.u.

a = 4.0002 Å, b = 4.0002 Å, c = 4.0002 Å
α = 60.00°, β = 60.00°, γ = 60.00°
Fractional positions:
Al1 0.0000 0.0000 0.0000
V1 0.5000 0.5000 0.5000
Fe1 0.2500 0.2500 0.2500
Fe2 0.7500 0.7500 0.7500

No. 12
Crystalline NiSb6Ru at its relaxed geometry. Source: Materials Project, functional r2SCAN.

Raw total energy = -386.652 eV for the cell shown
Volume = 196 Å³/f.u.

a = 7.9600 Å, b = 7.9600 Å, c = 9.2143 Å
α = 124.88°, β = 124.88°, γ = 71.03°
Fractional positions:
Ni1 0.0000 0.5000 0.0000
Ni2 0.5000 0.0000 0.0000
Sb1 0.0063 0.3190 0.1615
Sb2 0.1595 0.8352 0.3407
Sb3 0.1648 0.8405 0.6593
Sb4 0.3190 0.0063 0.1615
Sb5 0.3430 0.3430 0.0034
Sb6 0.3443 0.3443 0.6785
Sb7 0.6557 0.6557 0.3215
Sb8 0.6570 0.6570 0.9966
Sb9 0.6810 0.9937 0.8385
Sb10 0.8352 0.1595 0.3407
Sb11 0.8405 0.1648 0.6593
Sb12 0.9937 0.6810 0.8385
Ru1 0.0000 0.5000 0.5000
Ru2 0.5000 0.0000 0.5000

No. 13
Crystalline Sr3Li2 at its relaxed geometry. Source: Materials Project, functional r2SCAN.

Raw total energy = -200.418 eV for the cell shown
Volume = 211 Å³/f.u.

a = 9.8013 Å, b = 9.8013 Å, c = 8.7811 Å
α = 90.00°, β = 90.00°, γ = 90.00°
Fractional positions:
Sr1 0.0000 0.5000 0.2500
Sr2 0.0000 0.5000 0.7500
Sr3 0.1503 0.1503 0.0000
Sr4 0.2117 0.2117 0.5000
Sr5 0.2883 0.7117 0.0000
Sr6 0.3497 0.6503 0.5000
Sr7 0.5000 0.0000 0.2500
Sr8 0.5000 0.0000 0.7500
Sr9 0.6503 0.3497 0.5000
Sr10 0.7117 0.2883 0.0000
Sr11 0.7883 0.7883 0.5000
Sr12 0.8497 0.8497 0.0000
Li1 0.1126 0.8874 0.3199
Li2 0.1126 0.8874 0.6801
Li3 0.3874 0.3874 0.1801
Li4 0.3874 0.3874 0.8199
Li5 0.6126 0.6126 0.1801
Li6 0.6126 0.6126 0.8199
Li7 0.8874 0.1126 0.3199
Li8 0.8874 0.1126 0.6801

No. 14
Crystalline TaFe2 at its relaxed geometry. Source: Materials Project, functional r2SCAN.

Raw total energy = -310.530 eV for the cell shown
Volume = 41 Å³/f.u.

a = 4.8648 Å, b = 4.8648 Å, c = 7.9055 Å
α = 90.00°, β = 90.00°, γ = 120.00°
Fractional positions:
Ta1 0.3333 0.6667 0.0577
Ta2 0.3333 0.6667 0.4423
Ta3 0.6667 0.3333 0.5577
Ta4 0.6667 0.3333 0.9423
Fe1 0.0000 0.0000 0.0000
Fe2 0.0000 0.0000 0.5000
Fe3 0.1693 0.3386 0.7500
Fe4 0.1693 0.8307 0.7500
Fe5 0.3386 0.1693 0.2500
Fe6 0.6614 0.8307 0.7500
Fe7 0.8307 0.1693 0.2500
Fe8 0.8307 0.6614 0.2500

No. 15
Crystalline V2AsO6 at its relaxed geometry. Source: Materials Project, functional r2SCAN.

Raw total energy = -392.647 eV for the cell shown
Volume = 99 Å³/f.u.

a = 4.7605 Å, b = 8.8082 Å, c = 9.4654 Å
α = 90.00°, β = 90.00°, γ = 90.00°
Fractional positions:
V1 0.0948 0.1643 0.3953
V2 0.1076 0.5066 0.4007
V3 0.3924 0.4934 0.9007
V4 0.4052 0.8357 0.8953
V5 0.5948 0.3357 0.6047
V6 0.6076 0.9934 0.5993
V7 0.8924 0.0066 0.0993
V8 0.9052 0.6643 0.1047
As1 0.1070 0.1608 0.8091
As2 0.3930 0.8392 0.3091
As3 0.6070 0.3392 0.1909
As4 0.8930 0.6608 0.6909
O1 0.0848 0.1569 0.9854
O2 0.0931 0.8357 0.0168
O3 0.1087 0.5215 0.0081
O4 0.2144 0.6651 0.7715
O5 0.2165 0.6760 0.2633
O6 0.2205 0.9996 0.2518
O7 0.2795 0.0004 0.7518
O8 0.2835 0.3240 0.7633
O9 0.2856 0.3349 0.2715
O10 0.3913 0.4785 0.5081
O11 0.4069 0.1643 0.5168
O12 0.4152 0.8431 0.4854
O13 0.5848 0.3431 0.0146
O14 0.5931 0.6643 0.9832
O15 0.6087 0.9785 0.9919
O16 0.7144 0.8349 0.2285
O17 0.7165 0.8240 0.7367
O18 0.7205 0.5004 0.7482
O19 0.7795 0.4996 0.2482
O20 0.7835 0.1760 0.2367
O21 0.7856 0.1651 0.7285
O22 0.8913 0.0215 0.4919
O23 0.9069 0.3357 0.4832
O24 0.9152 0.6569 0.5146

No. 16
Crystalline LaC2 at its relaxed geometry. Source: Materials Project, functional r2SCAN.

Raw total energy = -50.632 eV for the cell shown
Volume = 51 Å³/f.u.

a = 4.3121 Å, b = 4.3121 Å, c = 4.3121 Å
α = 125.48°, β = 125.48°, γ = 80.75°
Fractional positions:
La1 0.0000 0.0000 0.0000
C1 0.4019 0.4019 0.0000
C2 0.5981 0.5981 0.0000

No. 17
Crystalline InH3O3 at its relaxed geometry. Source: Materials Project, functional r2SCAN.

Raw total energy = -242.041 eV for the cell shown
Volume = 63 Å³/f.u.

a = 6.9104 Å, b = 6.9104 Å, c = 6.9104 Å
α = 109.67°, β = 109.67°, γ = 109.67°
Fractional positions:
In1 0.0000 0.0000 0.0000
In2 0.0000 0.5000 0.5000
In3 0.5000 0.0000 0.5000
In4 0.5000 0.5000 0.0000
H1 0.0483 0.6740 0.2231
H2 0.1429 0.1862 0.4571
H3 0.1862 0.4571 0.1429
H4 0.2231 0.0483 0.6740
H5 0.3260 0.7769 0.9517
H6 0.4571 0.1429 0.1862
H7 0.5429 0.8571 0.8138
H8 0.6740 0.2231 0.0483
H9 0.7769 0.9517 0.3260
H10 0.8138 0.5429 0.8571
H11 0.8571 0.8138 0.5429
H12 0.9517 0.3260 0.7769
O1 0.0133 0.1820 0.3330
O2 0.1738 0.6685 0.3400
O3 0.1820 0.3330 0.0133
O4 0.3315 0.6600 0.8262
O5 0.3330 0.0133 0.1820
O6 0.3400 0.1738 0.6685
O7 0.6600 0.8262 0.3315
O8 0.6670 0.9867 0.8180
O9 0.6685 0.3400 0.1738
O10 0.8180 0.6670 0.9867
O11 0.8262 0.3315 0.6600
O12 0.9867 0.8180 0.6670

No. 18
Crystalline K2CrF6 at its relaxed geometry. Source: Materials Project, functional r2SCAN.

Raw total energy = -72.655 eV for the cell shown
Volume = 133 Å³/f.u.

a = 5.7998 Å, b = 5.7998 Å, c = 5.7998 Å
α = 122.08°, β = 122.08°, γ = 86.43°
Fractional positions:
K1 0.2500 0.7500 0.5000
K2 0.7500 0.2500 0.5000
Cr1 0.0000 0.0000 0.0000
F1 0.2206 0.2206 0.0000
F2 0.2280 0.2280 0.4561
F3 0.2280 0.7720 0.0000
F4 0.7720 0.2280 0.0000
F5 0.7720 0.7720 0.5439
F6 0.7794 0.7794 0.0000

No. 19
Crystalline HfH2 at its relaxed geometry. Source: Materials Project, functional r2SCAN.

Raw total energy = -53.688 eV for the cell shown
Volume = 26 Å³/f.u.

a = 3.2544 Å, b = 3.2544 Å, c = 3.2544 Å
α = 115.74°, β = 115.74°, γ = 97.54°
Fractional positions:
Hf1 0.0000 0.0000 0.0000
H1 0.2500 0.7500 0.5000
H2 0.7500 0.2500 0.5000